VASP calculation (PBE) on an optimized crystal structure of Na10Ti4Zn4Si5S7O48.

Cell lengths 8.9628, 15.3978, 22.1876 Å; angles 89.25, 89.73, 89.96 degrees
Closest atoms and distances in Å follow each position.
Sites, in units of the cell vectors:
Na 0.0000 0.0000 0.0000  4 O 2.33-2.56
Na 0.0015 0.3397 0.3389  5 O 2.31-2.57
Na 0.0230 0.6457 0.9955  5 O 2.36-2.63
Na 0.0654 0.3296 0.0048  5 O 2.37-2.58
Na 0.0663 0.9929 0.6720  5 O 2.35-2.56
Na 0.1906 0.8270 0.2528  6 O 2.39-2.61
Na 0.1918 0.4981 0.4190  6 O 2.43-2.69
Na 0.1981 0.1684 0.0899  4 O 2.31-2.57
Na 0.2053 0.8233 0.7538  6 O 2.39-2.60
Na 0.2059 0.1726 0.5900  1 O 2.27
Na 0.2171 0.5007 0.9167  4 O 2.40-2.60
Na 0.3260 0.3300 0.5066  4 O 2.30-2.53
Na 0.3290 0.9924 0.1720  5 O 2.35-2.55
Na 0.3697 0.6453 0.4974  5 O 2.39-2.66
Na 0.3960 0.0025 0.4974  5 O 2.40-2.61
Na 0.5012 0.8401 0.3382  5 O 2.31-2.57
Na 0.5655 0.4930 0.6732  5 O 2.35-2.54
Na 0.5693 0.8289 0.0064  4 O 2.30-2.53
Na 0.6834 0.6686 0.0883  4 O 2.32-2.58
Na 0.6863 0.3259 0.2556  4 O 2.37-2.59
Na 0.6880 0.3346 0.7537  4 O 2.34-2.58
Na 0.6913 0.9971 0.9235  4 O 2.39-2.59
Na 0.6915 0.9985 0.4180  6 O 2.45-2.67
Na 0.7055 0.6706 0.5910  3 O 2.28-2.54
Na 0.8262 0.8299 0.5061  4 O 2.30-2.53
Na 0.8287 0.4949 0.1728  5 O 2.36-2.58
Na 0.8298 0.1623 0.8379  5 O 2.38-2.60
Na 0.8694 0.1461 0.4967  4 O 2.39-2.65
Na 0.8934 0.8377 0.8404  4 O 2.33-2.54
Na 0.8961 0.5024 0.4986  5 O 2.39-2.62
Ti 0.1788 0.4900 0.2684  3 O 1.82-1.99
Ti 0.1843 0.1551 0.9331  2 O 1.81-1.89
Ti 0.1913 0.8131 0.6009  3 O 1.80-1.97
Ti 0.2041 0.8144 0.0998  3 O 1.79-1.98
Ti 0.2125 0.1591 0.4356  4 O 1.84-2.02
Ti 0.2219 0.4872 0.7697  2 O 1.79-1.81
Ti 0.6778 0.9898 0.2673  2 O 1.79-1.84
Ti 0.6800 0.6548 0.9375  2 O 1.81-1.85
Ti 0.6915 0.3146 0.6010  3 O 1.81-1.96
Ti 0.7113 0.9849 0.7677  2 O 1.77-1.90
Ti 0.7126 0.6592 0.4357  4 O 1.85-2.01
Ti 0.7150 0.3183 0.1034  2 O 1.79-1.85
Zn 0.1835 0.4843 0.5674  4 O 1.93-2.09
Zn 0.1893 0.8242 0.9006  4 O 1.93-2.14
Zn 0.1897 0.1599 0.2322  4 O 1.93-2.12
Zn 0.2070 0.8271 0.3992  4 O 1.93-2.12
Zn 0.2093 0.1629 0.7325  4 O 1.94-2.08
Zn 0.2138 0.4901 0.0674  5 O 1.94-2.17
Zn 0.6844 0.9846 0.5664  4 O 1.93-2.08
Zn 0.6859 0.3294 0.8983  4 O 1.95-2.09
Zn 0.6898 0.6613 0.2321  4 O 1.93-2.11
Zn 0.7065 0.6585 0.7332  4 O 1.94-2.12
Zn 0.7073 0.3268 0.3997  4 O 1.93-2.11
Zn 0.7073 0.9875 0.0654  5 O 1.95-2.13
Si 0.0550 0.6785 0.4964  4 O 1.58-1.70
Si 0.0580 0.0105 0.8267  4 O 1.58-1.74
Si 0.0580 0.3426 0.1624  4 O 1.59-1.73
Si 0.3363 0.0125 0.3281  4 O 1.59-1.74
Si 0.3391 0.6745 0.9967  4 O 1.58-1.71
Si 0.3470 0.3412 0.6627  4 O 1.59-1.72
Si 0.4905 0.8241 0.4968  4 O 1.60-1.69
Si 0.5480 0.8408 0.1626  4 O 1.59-1.75
Si 0.5550 0.1788 0.4967  4 O 1.58-1.69
Si 0.5594 0.5112 0.8288  4 O 1.59-1.73
Si 0.8349 0.5127 0.3280  4 O 1.59-1.74
Si 0.8385 0.1792 0.9941  4 O 1.59-1.73
Si 0.8475 0.8397 0.6627  4 O 1.59-1.75
Si 0.9034 0.8237 0.9969  4 O 1.60-1.70
Si 0.9907 0.3243 0.4968  4 O 1.60-1.69
S 0.0545 0.6391 0.1646  4 O 1.46-1.51
S 0.0550 0.3072 0.8317  4 O 1.45-1.53
S 0.0552 0.9728 0.4989  4 O 1.45-1.51
S 0.3399 0.6382 0.6643  4 O 1.47-1.50
S 0.3406 0.9745 0.9981  4 O 1.46-1.52
S 0.3449 0.3066 0.3311  4 O 1.45-1.53
S 0.4037 0.6542 0.3323  4 O 1.46-1.51
S 0.4059 0.9906 0.6660  4 O 1.47-1.50
S 0.4076 0.3229 0.9993  4 O 1.45-1.52
S 0.4878 0.1566 0.8325  4 O 1.45-1.51
S 0.4890 0.4896 0.1658  4 O 1.46-1.52
S 0.5498 0.8055 0.8318  4 O 1.45-1.54
S 0.5551 0.4728 0.4985  4 O 1.45-1.51
S 0.5561 0.1387 0.1636  4 O 1.45-1.51
S 0.8385 0.4714 0.9991  4 O 1.45-1.51
S 0.8395 0.1386 0.6649  4 O 1.46-1.51
S 0.8453 0.8067 0.3314  4 O 1.45-1.54
S 0.9041 0.1546 0.3323  4 O 1.46-1.51
S 0.9045 0.4904 0.6656  4 O 1.47-1.51
S 0.9889 0.9907 0.1656  4 O 1.47-1.50
S 0.9918 0.6541 0.8324  4 O 1.47-1.51
O 0.9998 0.1713 0.2798  1 S 1.46
O 0.0015 0.1480 0.6702  1 S 1.46
O 0.0012 0.4840 0.0044  1 S 1.48
O 0.0042 0.8192 0.3392  1 S 1.45
O 0.0053 0.4818 0.7177  1 S 1.47
O 0.0279 0.8095 0.0540  1 Si 1.70, 1 Ti 1.88
O 0.0287 0.5045 0.3236  1 Si 1.74, 1 Ti 1.83
O 0.0312 0.1752 0.9898  1 Si 1.73, 1 Ti 1.89
O 0.0355 0.8423 0.6602  1 Si 1.69
O 0.0750 0.7434 0.5570  1 Si 1.70, 1 Ti 1.80
O 0.0767 0.9196 0.4460  1 S 1.45
O 0.0814 0.5887 0.1101  1 S 1.46
O 0.0819 0.5734 0.8265  1 S 1.49
O 0.0829 0.9102 0.1636  1 S 1.50
O 0.0835 0.2525 0.7800  1 S 1.45
O 0.0844 0.4106 0.2219  1 Si 1.71, 1 Ti 1.82
O 0.0859 0.0771 0.8878  1 Si 1.73, 1 Ti 1.81
O 0.0899 0.2326 0.4911  1 Si 1.67
O 0.0902 0.7310 0.8358  1 S 1.48
O 0.0921 0.0657 0.1695  1 S 1.48
O 0.1043 0.4051 0.5026  1 Si 1.62
O 0.1125 0.0612 0.7681  1 Si 1.58
O 0.1120 0.3895 0.1018  1 Si 1.59
O 0.1177 0.9134 0.8333  1 Si 1.59
O 0.1223 0.2658 0.8884  1 S 1.53
O 0.1221 0.5936 0.2188  1 S 1.51
O 0.1226 0.2477 0.1725  1 Si 1.59
O 0.1233 0.9333 0.5543  1 S 1.50
O 0.1246 0.5833 0.5064  1 Si 1.61
O 0.1268 0.3943 0.8272  1 S 1.49
O 0.1279 0.7251 0.4398  1 Si 1.58
O 0.1295 0.7255 0.1627  1 S 1.49
O 0.1311 0.0603 0.4936  1 S 1.51
O 0.2611 0.5816 0.0066  1 Si 1.60
O 0.2619 0.0620 0.9921  1 S 1.52
O 0.2644 0.3935 0.3274  1 S 1.52
O 0.2656 0.7257 0.6624  1 S 1.50
O 0.2670 0.7216 0.9401  1 Si 1.58
O 0.2695 0.9355 0.0537  1 S 1.50
O 0.2724 0.2659 0.3875  1 S 1.53
O 0.2731 0.5941 0.7186  1 S 1.50
O 0.2746 0.2479 0.6724  1 Si 1.59
O 0.2775 0.9143 0.3340  1 Si 1.61
O 0.2810 0.0584 0.2677  1 Si 1.59
O 0.2893 0.3870 0.6022  1 Si 1.59
O 0.3027 0.0651 0.6706  1 S 1.48
O 0.3031 0.0760 0.3890  1 Si 1.70, 1 Ti 1.84
O 0.3030 0.3975 0.0035  1 S 1.48
O 0.3053 0.7307 0.3361  1 S 1.47
O 0.3106 0.2424 0.9957  1 S 1.52
O 0.3108 0.4113 0.7209  1 Si 1.72, 1 Ti 1.79
O 0.3117 0.5893 0.6091  1 S 1.47
O 0.3133 0.2553 0.2786  1 S 1.45
O 0.3133 0.5733 0.3268  1 S 1.49
O 0.3132 0.9098 0.6641  1 S 1.50
O 0.3162 0.9216 0.9451  1 S 1.46
O 0.3177 0.7415 0.0569  1 Si 1.71, 1 Ti 1.79
O 0.3597 0.8422 0.1598  1 Si 1.69
O 0.3674 0.5064 0.8241  1 Si 1.73, 1 Ti 1.81
O 0.3677 0.1713 0.4916  1 Si 1.69, 1 Ti 1.88
O 0.3682 0.8087 0.5544  1 Si 1.69, 1 Ti 1.89
O 0.3878 0.1477 0.8865  1 S 1.50
O 0.3904 0.4798 0.2194  1 S 1.48
O 0.3910 0.8200 0.8392  1 S 1.45
O 0.3944 0.1490 0.1699  1 S 1.46
O 0.3942 0.4893 0.5048  1 S 1.47
O 0.3989 0.8472 0.4370  1 Si 1.60
O 0.4019 0.1694 0.7778  1 S 1.45
O 0.4040 0.5035 0.1107  1 S 1.46
O 0.4882 0.0042 0.6089  1 S 1.47
O 0.4933 0.3359 0.9443  1 S 1.45
O 0.4963 0.6444 0.3886  1 S 1.51
O 0.4995 0.6703 0.2799  1 S 1.46
O 0.5006 0.9884 0.0048  1 S 1.46
O 0.5018 0.6485 0.6699  1 S 1.47
O 0.5040 0.3132 0.0533  1 S 1.49
O 0.5037 0.3194 0.3388  1 S 1.45
O 0.5095 0.9829 0.7181  1 S 1.49
O 0.5259 0.6721 0.9918  1 Si 1.68, 1 Ti 1.85
O 0.5293 0.0049 0.3241  1 Si 1.74, 1 Ti 1.84
O 0.5352 0.3423 0.6597  1 Si 1.69
O 0.5756 0.2439 0.5570  1 Si 1.69, 1 Ti 1.81
O 0.5768 0.4196 0.4456  1 S 1.45
O 0.5824 0.0754 0.8296  1 S 1.51
O 0.5816 0.7550 0.7787  1 S 1.45
O 0.5839 0.4082 0.1620  1 S 1.52
O 0.5845 0.9105 0.2225  1 Si 1.75, 1 Ti 1.79
O 0.5864 0.0867 0.1108  1 S 1.45
O 0.5896 0.7324 0.4911  1 Si 1.67
O 0.5919 0.2305 0.8372  1 S 1.48
O 0.5934 0.5634 0.1699  1 S 1.48
O 0.5933 0.5784 0.8875  1 Si 1.70, 1 Ti 1.81
O 0.6044 0.9048 0.5027  1 Si 1.62
O 0.6079 0.8885 0.1034  1 Si 1.59
O 0.6150 0.5549 0.7672  1 Si 1.59
O 0.6202 0.7474 0.1731  1 Si 1.59
O 0.6224 0.4153 0.8384  1 Si 1.59
O 0.6234 0.0979 0.2195  1 S 1.51
O 0.6233 0.4333 0.5538  1 S 1.49
O 0.6233 0.7671 0.8875  1 S 1.52
O 0.6247 0.0836 0.5067  1 Si 1.61
O 0.6275 0.2274 0.1595  1 S 1.51
O 0.6278 0.2246 0.4397  1 Si 1.58
O 0.6291 0.8941 0.8266  1 S 1.54
O 0.6313 0.5602 0.4933  1 S 1.51
O 0.7651 0.8936 0.3276  1 S 1.52
O 0.7655 0.2257 0.6630  1 S 1.49
O 0.7693 0.5598 0.9944  1 S 1.50
O 0.7723 0.7657 0.3878  1 S 1.54
O 0.7731 0.4318 0.0558  1 S 1.51
O 0.7742 0.0951 0.7207  1 S 1.51
O 0.7745 0.7469 0.6737  1 Si 1.59
O 0.7776 0.4142 0.3337  1 Si 1.61
O 0.7802 0.5587 0.2676  1 Si 1.59
O 0.7814 0.2258 0.9343  1 Si 1.59
O 0.7826 0.0824 0.0049  1 Si 1.59
O 0.7883 0.8879 0.6037  1 Si 1.59
O 0.7897 0.9046 0.0030  1 Si 1.62
O 0.8012 0.5653 0.6692  1 S 1.48
O 0.8033 0.5760 0.3889  1 Si 1.70, 1 Ti 1.85
O 0.8054 0.7322 0.9919  1 Si 1.67
O 0.8056 0.2313 0.3360  1 S 1.48
O 0.8094 0.9091 0.7228  1 Si 1.75, 1 Ti 1.77
O 0.8096 0.0880 0.6108  1 S 1.46
O 0.8095 0.4100 0.6627  1 S 1.51
O 0.8109 0.2469 0.0535  1 Si 1.71, 1 Ti 1.79
O 0.8131 0.4172 0.9472  1 S 1.45
O 0.8139 0.7550 0.2790  1 S 1.45
O 0.8146 0.0738 0.3272  1 S 1.49
O 0.8647 0.0071 0.8241  1 Si 1.74, 1 Ti 1.90
O 0.8654 0.3414 0.1577  1 Si 1.73, 1 Ti 1.85
O 0.8677 0.6713 0.4914  1 Si 1.69, 1 Ti 1.88
O 0.8685 0.3085 0.5543  1 Si 1.69, 1 Ti 1.89
O 0.8866 0.9833 0.2184  1 S 1.49
O 0.8933 0.3160 0.8382  1 S 1.46
O 0.8931 0.6488 0.1712  1 S 1.46
O 0.8941 0.9893 0.5053  1 S 1.47
O 0.8960 0.6713 0.7802  1 S 1.47
O 0.8994 0.3471 0.4369  1 Si 1.60
O 0.8990 0.6449 0.8888  1 S 1.51
O 0.9061 0.0035 0.1090  1 S 1.47
O 0.9866 0.5039 0.6082  1 S 1.48
O 0.9974 0.1456 0.3885  1 S 1.51
O 0.9969 0.8477 0.9372  1 Si 1.60

Computed properties:
total magnetization: 0.00 μB/cell
space group: P1



VASP calculation (PBE) on an optimized crystal structure of YZnPd.

Cell lengths 7.0843, 4.1252, 8.1709 Å; angles 90.00, 90.00, 90.00 degrees
Closest atoms and distances in Å follow each position.
Sites, in units of the cell vectors:
Y 0.0465 0.2500 0.1895  5 Pd 2.91-3.00, 5 Zn 3.13-3.23
Y 0.4535 0.7500 0.6895  5 Pd 2.91-3.00, 5 Zn 3.13-3.23
Y 0.5465 0.2500 0.3105  5 Pd 2.91-3.00, 5 Zn 3.13-3.23
Y 0.9535 0.7500 0.8105  5 Pd 2.91-3.00, 5 Zn 3.13-3.23
Zn 0.1344 0.2500 0.5647  4 Pd 2.68-2.76, 2 Zn 3.00
Zn 0.3656 0.7500 0.0647  4 Pd 2.68-2.76, 2 Zn 3.00
Zn 0.6344 0.2500 0.9353  4 Pd 2.68-2.76, 2 Zn 3.00
Zn 0.8656 0.7500 0.4353  4 Pd 2.68-2.76, 2 Zn 3.00
Pd 0.2492 0.7500 0.3802  4 Zn 2.68-2.76, 5 Y 2.91-3.00
Pd 0.2508 0.2500 0.8802  4 Zn 2.68-2.76, 5 Y 2.91-3.00
Pd 0.7492 0.7500 0.1198  4 Zn 2.68-2.76, 5 Y 2.91-3.00
Pd 0.7508 0.2500 0.6198  4 Zn 2.68-2.76, 5 Y 2.91-3.00

Computed properties:
space group: Pnma



VASP calculation (PBE) on an optimized crystal structure of MgSi2.

Cell lengths 3.6954, 5.9401, 10.1968 Å; angles 97.87, 92.99, 92.58 degrees
Closest atoms and distances in Å follow each position.
Sites, in units of the cell vectors:
Mg 0.0000 0.0000 0.0000  9 Si 2.77-3.08, 1 Mg 3.08
Mg 0.0563 0.5822 0.3350  9 Si 2.80-3.11
Mg 0.4817 0.2811 0.8375  5 Si 2.65-2.95
Mg 0.5792 0.0223 0.4850  5 Si 2.72-2.97
Si 0.0368 0.5245 0.0370  3 Si 2.43-2.47
Si 0.0688 0.3570 0.5991  3 Si 2.40-2.50
Si 0.0805 0.0824 0.2774  3 Si 2.48-2.78
Si 0.4928 0.8370 0.7600  3 Si 2.38-2.50, 1 Mg 2.65
Si 0.5366 0.3440 0.1433  2 Si 2.45-2.47
Si 0.5467 0.8350 0.1773  3 Si 2.48-2.77, 1 Mg 2.77
Si 0.5748 0.5892 0.5463  3 Si 2.40-2.50
Si 0.9842 0.6105 0.8106  4 Si 2.38-2.50

Computed properties:
energy above the lowest structure with this stoichiometry: 40 kJ/mol of formula units
total magnetization: 0.00 μB/cell
space group: P1



VASP calculation (PBE) on an optimized crystal structure of Ba4LaTiNb3O15.

Cell lengths 5.8112, 5.8112, 11.8468 Å; angles 90.00, 90.00, 120.00 degrees
Closest atoms and distances in Å follow each position.
Sites, in units of the cell vectors:
Ba 0.0000 0.0000 0.0000  9 O 2.77-2.96
Ba 0.0000 0.0000 0.3697  12 O 2.76-3.05
Ba 0.3333 0.6667 0.1495  9 O 2.86-2.94
Ba 0.6667 0.3333 0.5767  12 O 2.83-2.91
La 0.3333 0.6667 0.7887  3 O 2.52
Ti 0.0000 0.0000 0.6804  6 O 1.95-2.06
Nb 0.3333 0.6667 0.4765  6 O 1.99-2.08
Nb 0.6667 0.3333 0.2587  3 O 1.88
Nb 0.6667 0.3333 0.8821  3 O 1.91
O 0.0040 0.5020 0.3836  1 Nb 1.99
O 0.0092 0.5046 0.9510  1 Nb 1.91
O 0.1692 0.3384 0.5828  1 Ti 2.06, 1 Nb 2.08
O 0.1692 0.8308 0.5828  1 Ti 2.06, 1 Nb 2.08
O 0.3279 0.1639 0.7676  1 Ti 1.95, 1 Nb 2.18
O 0.3360 0.1680 0.1851  1 Nb 1.88
O 0.4954 0.5046 0.9510  1 Nb 1.91
O 0.4954 0.9908 0.9510  1 Nb 1.91
O 0.4980 0.5020 0.3836  1 Nb 1.99
O 0.4980 0.9960 0.3836  1 Nb 1.99
O 0.6616 0.8308 0.5828  1 Ti 2.06, 1 Nb 2.08
O 0.8320 0.1680 0.1851  1 Nb 1.88
O 0.8320 0.6640 0.1851  1 Nb 1.88
O 0.8361 0.1639 0.7676  1 Ti 1.95, 1 Nb 2.18
O 0.8361 0.6721 0.7676  1 Ti 1.95, 1 Nb 2.18

Computed properties:
energy above the lowest structure with this stoichiometry: 0 kJ/mol of formula units
total magnetization: 0.00 μB/cell
space group: P3m1



| no. | formation energy from the elements (eV/atom) |
| --- | --- |
| 1 | -2.419 |
| 2 | -0.754 |
| 3 | 0.217 |
| 4 | -3.363 |